No. 1
# KPb2Cl5, relaxed, DFT PBE
data_KPb2Cl5
_space_group_name_H-M_alt 'P 1'
_space_group_IT_number 1
_space_group_name_Hall 'P 1'
_cell_length_a 8.991
_cell_length_b 8.126
_cell_length_c 12.766
_cell_angle_alpha 90.00
_cell_angle_beta 90.59
_cell_angle_gamma 90.00
loop_
_atom_site_label
_atom_site_type_symbol
_atom_site_fract_x
_atom_site_fract_y
_atom_site_fract_z
K1 K 0.011 0.048 0.328
K2 K 0.011 0.452 0.828
K3 K 0.989 0.548 0.172
K4 K 0.989 0.952 0.672
Pb1 Pb 0.244 0.560 0.494
Pb2 Pb 0.244 0.940 0.994
Pb3 Pb 0.490 0.004 0.674
Pb4 Pb 0.490 0.496 0.174
Pb5 Pb 0.510 0.504 0.826
Pb6 Pb 0.510 0.996 0.326
Pb7 Pb 0.756 0.060 0.006
Pb8 Pb 0.756 0.440 0.506
Cl1 Cl 0.040 0.183 0.076
Cl2 Cl 0.040 0.317 0.576
Cl3 Cl 0.263 0.688 0.714
Cl4 Cl 0.263 0.812 0.214
Cl5 Cl 0.265 0.155 0.810
Cl6 Cl 0.265 0.345 0.310
Cl7 Cl 0.284 0.542 0.995
Cl8 Cl 0.284 0.958 0.495
Cl9 Cl 0.462 0.160 0.104
Cl10 Cl 0.462 0.340 0.604
Cl11 Cl 0.538 0.660 0.396
Cl12 Cl 0.538 0.840 0.896
Cl13 Cl 0.716 0.042 0.505
Cl14 Cl 0.716 0.458 0.005
Cl15 Cl 0.735 0.655 0.690
Cl16 Cl 0.735 0.845 0.190
Cl17 Cl 0.737 0.188 0.786
Cl18 Cl 0.737 0.312 0.286
Cl19 Cl 0.960 0.683 0.424
Cl20 Cl 0.960 0.817 0.924
# Offset from the most stable computed form, meV per atom: 0
# MP2020-corrected energy, eV/atom: -3.9734
# Space group: P2_1/c

***

No. 2
# CuAsPbO5, relaxed, DFT PBE
data_CuAsPbO5
_space_group_name_H-M_alt 'P 1'
_space_group_IT_number 1
_space_group_name_Hall 'P 1'
_cell_length_a 6.049
_cell_length_b 8.473
_cell_length_c 8.959
_cell_angle_alpha 90.00
_cell_angle_beta 90.00
_cell_angle_gamma 90.00
loop_
_atom_site_label
_atom_site_type_symbol
_atom_site_fract_x
_atom_site_fract_y
_atom_site_fract_z
Cu1 Cu 0.247 0.242 0.495
Cu2 Cu 0.253 0.758 0.995
Cu3 Cu 0.747 0.258 0.505
Cu4 Cu 0.753 0.742 0.005
As1 As 0.012 0.868 0.294
As2 As 0.488 0.132 0.794
As3 As 0.512 0.632 0.706
As4 As 0.988 0.368 0.206
Pb1 Pb 0.039 0.375 0.837
Pb2 Pb 0.461 0.625 0.337
Pb3 Pb 0.539 0.125 0.163
Pb4 Pb 0.961 0.875 0.663
O1 O 0.005 0.353 0.563
O2 O 0.010 0.537 0.103
O3 O 0.054 0.712 0.413
O4 O 0.239 0.349 0.306
O5 O 0.248 0.872 0.179
O6 O 0.252 0.128 0.679
O7 O 0.261 0.651 0.806
O8 O 0.446 0.288 0.913
O9 O 0.490 0.463 0.603
O10 O 0.495 0.647 0.063
O11 O 0.505 0.147 0.437
O12 O 0.510 0.963 0.897
O13 O 0.554 0.788 0.587
O14 O 0.739 0.151 0.694
O15 O 0.748 0.628 0.821
O16 O 0.752 0.372 0.321
O17 O 0.761 0.849 0.194
O18 O 0.946 0.212 0.087
O19 O 0.990 0.037 0.397
O20 O 0.995 0.853 0.937
# MP2020-corrected energy, eV/atom: -6.0716
# Space group: P2_12_12_1

***

No. 3
# USi2Au2, relaxed, DFT PBE
data_USi2Au2
_space_group_name_H-M_alt 'P 1'
_space_group_IT_number 1
_space_group_name_Hall 'P 1'
_cell_length_a 6.069
_cell_length_b 6.069
_cell_length_c 6.069
_cell_angle_alpha 139.56
_cell_angle_beta 139.56
_cell_angle_gamma 58.52
loop_
_atom_site_label
_atom_site_type_symbol
_atom_site_fract_x
_atom_site_fract_y
_atom_site_fract_z
U1 U 0.000 0.000 0.000
Si1 Si 0.392 0.392 0.000
Si2 Si 0.608 0.608 0.000
Au1 Au 0.250 0.750 0.500
Au2 Au 0.750 0.250 0.500
# Offset from the most stable computed form, meV per atom: 0
# Space group: I4/mmm

***

No. 4
# TiNi3, relaxed, DFT PBE
data_TiNi3
_space_group_name_H-M_alt 'P 1'
_space_group_IT_number 1
_space_group_name_Hall 'P 1'
_cell_length_a 5.096
_cell_length_b 5.096
_cell_length_c 8.312
_cell_angle_alpha 90.00
_cell_angle_beta 90.00
_cell_angle_gamma 120.00
loop_
_atom_site_label
_atom_site_type_symbol
_atom_site_fract_x
_atom_site_fract_y
_atom_site_fract_z
Ti1 Ti 0.000 0.000 0.000
Ti2 Ti 0.000 0.000 0.500
Ti3 Ti 0.333 0.667 0.250
Ti4 Ti 0.667 0.333 0.750
Ni1 Ni 0.000 0.500 0.000
Ni2 Ni 0.000 0.500 0.500
Ni3 Ni 0.172 0.343 0.750
Ni4 Ni 0.172 0.828 0.750
Ni5 Ni 0.343 0.172 0.250
Ni6 Ni 0.500 0.000 0.000
Ni7 Ni 0.500 0.000 0.500
Ni8 Ni 0.500 0.500 0.000
Ni9 Ni 0.500 0.500 0.500
Ni10 Ni 0.657 0.828 0.750
Ni11 Ni 0.828 0.172 0.250
Ni12 Ni 0.828 0.657 0.250
# Electronic total energy, eV/cell: -108.67
# Space group: P6_3/mmc

***

No. 5
# LuB3H12, relaxed, DFT PBE
data_LuB3H12
_space_group_name_H-M_alt 'P 1'
_space_group_IT_number 1
_space_group_name_Hall 'P 1'
_cell_length_a 10.766
_cell_length_b 10.766
_cell_length_c 10.766
_cell_angle_alpha 90.00
_cell_angle_beta 90.00
_cell_angle_gamma 90.00
loop_
_atom_site_label
_atom_site_type_symbol
_atom_site_fract_x
_atom_site_fract_y
_atom_site_fract_z
B1 B 0.500 0.750 0.000
B2 B 0.500 0.000 0.750
B3 B 0.750 0.500 0.000
B4 B 0.500 0.250 0.000
B5 B 0.500 0.500 0.250
B6 B 0.750 0.000 0.500
B7 B 0.500 0.750 0.500
B8 B 0.000 0.250 0.000
B9 B 0.250 0.000 0.000
B10 B 0.250 0.000 0.500
B11 B 0.000 0.750 0.000
B12 B 0.000 0.250 0.500
B13 B 0.000 0.500 0.750
B14 B 0.750 0.000 0.000
B15 B 0.250 0.500 0.500
B16 B 0.750 0.500 0.500
B17 B 0.000 0.750 0.500
B18 B 0.000 0.000 0.250
B19 B 0.000 0.000 0.750
B20 B 0.500 0.500 0.750
B21 B 0.500 0.250 0.500
B22 B 0.000 0.500 0.250
B23 B 0.250 0.500 0.000
B24 B 0.500 0.000 0.250
H1 H 0.095 0.313 0.500
H2 H 0.000 0.905 0.813
H3 H 0.187 0.595 0.000
H4 H 0.313 0.095 0.000
H5 H 0.687 0.405 0.500
H6 H 0.000 0.095 0.187
H7 H 0.813 0.405 0.000
H8 H 0.187 0.000 0.905
H9 H 0.595 0.187 0.500
H10 H 0.500 0.313 0.595
H11 H 0.595 0.500 0.313
H12 H 0.095 0.000 0.313
H13 H 0.905 0.687 0.500
H14 H 0.500 0.187 0.905
H15 H 0.405 0.687 0.000
H16 H 0.095 0.187 0.000
H17 H 0.313 0.000 0.595
H18 H 0.187 0.500 0.595
H19 H 0.405 0.813 0.500
H20 H 0.187 0.095 0.500
H21 H 0.500 0.095 0.687
H22 H 0.000 0.813 0.595
H23 H 0.687 0.500 0.905
H24 H 0.313 0.500 0.095
H25 H 0.095 0.500 0.813
H26 H 0.595 0.813 0.500
H27 H 0.500 0.905 0.687
H28 H 0.000 0.313 0.905
H29 H 0.813 0.095 0.500
H30 H 0.500 0.595 0.187
H31 H 0.000 0.905 0.187
H32 H 0.687 0.000 0.595
H33 H 0.000 0.813 0.405
H34 H 0.405 0.500 0.687
H35 H 0.187 0.000 0.095
H36 H 0.500 0.313 0.405
H37 H 0.500 0.095 0.313
H38 H 0.000 0.405 0.313
H39 H 0.313 0.000 0.405
H40 H 0.000 0.595 0.687
H41 H 0.405 0.187 0.500
H42 H 0.187 0.905 0.500
H43 H 0.595 0.313 0.000
H44 H 0.687 0.095 0.000
H45 H 0.500 0.405 0.813
H46 H 0.500 0.687 0.405
H47 H 0.500 0.187 0.095
H48 H 0.313 0.905 0.000
H49 H 0.500 0.813 0.095
H50 H 0.000 0.313 0.095
H51 H 0.813 0.000 0.905
H52 H 0.000 0.095 0.813
H53 H 0.595 0.500 0.687
H54 H 0.813 0.500 0.405
H55 H 0.687 0.905 0.000
H56 H 0.000 0.687 0.905
H57 H 0.905 0.187 0.000
H58 H 0.595 0.000 0.813
H59 H 0.095 0.500 0.187
H60 H 0.405 0.000 0.187
H61 H 0.313 0.595 0.500
H62 H 0.813 0.905 0.500
H63 H 0.687 0.500 0.095
H64 H 0.313 0.500 0.905
H65 H 0.313 0.405 0.500
H66 H 0.000 0.187 0.405
H67 H 0.500 0.687 0.595
H68 H 0.000 0.595 0.313
H69 H 0.000 0.187 0.595
H70 H 0.813 0.595 0.000
H71 H 0.000 0.687 0.095
H72 H 0.500 0.405 0.187
H73 H 0.000 0.405 0.687
H74 H 0.813 0.000 0.095
H75 H 0.405 0.500 0.313
H76 H 0.500 0.813 0.905
H77 H 0.905 0.000 0.687
H78 H 0.187 0.405 0.000
H79 H 0.095 0.813 0.000
H80 H 0.687 0.595 0.500
H81 H 0.905 0.500 0.187
H82 H 0.595 0.000 0.187
H83 H 0.187 0.500 0.405
H84 H 0.405 0.000 0.813
H85 H 0.905 0.500 0.813
H86 H 0.500 0.595 0.813
H87 H 0.095 0.000 0.687
H88 H 0.500 0.905 0.313
H89 H 0.905 0.813 0.000
H90 H 0.687 0.000 0.405
H91 H 0.595 0.687 0.000
H92 H 0.095 0.687 0.500
H93 H 0.405 0.313 0.000
H94 H 0.905 0.313 0.500
H95 H 0.813 0.500 0.595
H96 H 0.905 0.000 0.313
Lu1 Lu 0.500 0.500 0.000
Lu2 Lu 0.000 0.000 0.000
Lu3 Lu 0.000 0.500 0.500
Lu4 Lu 0.500 0.500 0.500
Lu5 Lu 0.500 0.000 0.500
Lu6 Lu 0.500 0.000 0.000
Lu7 Lu 0.000 0.500 0.000
Lu8 Lu 0.000 0.000 0.500
# Offset from the most stable computed form, meV per atom: 0
# MP2020-corrected energy, eV/atom: -4.4982

***

No. 6
# Na2GaCuF6, relaxed, DFT PBE
data_Na2GaCuF6
_space_group_name_H-M_alt 'P 1'
_space_group_IT_number 1
_space_group_name_Hall 'P 1'
_cell_length_a 5.784
_cell_length_b 5.784
_cell_length_c 5.784
_cell_angle_alpha 60.00
_cell_angle_beta 60.00
_cell_angle_gamma 60.00
loop_
_atom_site_label
_atom_site_type_symbol
_atom_site_fract_x
_atom_site_fract_y
_atom_site_fract_z
Na1 Na 0.250 0.250 0.250
Na2 Na 0.750 0.750 0.750
Ga1 Ga 0.000 0.000 0.000
Cu1 Cu 0.500 0.500 0.500
F1 F 0.235 0.235 0.765
F2 F 0.235 0.765 0.235
F3 F 0.235 0.765 0.765
F4 F 0.765 0.235 0.235
F5 F 0.765 0.235 0.765
F6 F 0.765 0.765 0.235
# MP2020-corrected energy, eV/atom: -4.6598
# Space group: Fm-3m

***

No. 7
# Zr4CdP6O24, relaxed, DFT PBE
data_Zr4CdP6O24
_space_group_name_H-M_alt 'P 1'
_space_group_IT_number 1
_space_group_name_Hall 'P 1'
_cell_length_a 9.119
_cell_length_b 9.119
_cell_length_c 9.119
_cell_angle_alpha 59.06
_cell_angle_beta 59.06
_cell_angle_gamma 59.06
loop_
_atom_site_label
_atom_site_type_symbol
_atom_site_fract_x
_atom_site_fract_y
_atom_site_fract_z
Zr1 Zr 0.136 0.136 0.136
Zr2 Zr 0.352 0.352 0.352
Zr3 Zr 0.648 0.648 0.648
Zr4 Zr 0.864 0.864 0.864
Cd1 Cd 0.500 0.500 0.500
P1 P 0.047 0.743 0.470
P2 P 0.257 0.530 0.953
P3 P 0.470 0.047 0.743
P4 P 0.530 0.953 0.257
P5 P 0.743 0.470 0.047
P6 P 0.953 0.257 0.530
O1 O 0.009 0.786 0.630
O2 O 0.062 0.906 0.292
O3 O 0.094 0.708 0.938
O4 O 0.107 0.312 0.492
O5 O 0.214 0.370 0.991
O6 O 0.231 0.581 0.446
O7 O 0.292 0.062 0.906
O8 O 0.312 0.492 0.107
O9 O 0.370 0.991 0.214
O10 O 0.419 0.554 0.769
O11 O 0.446 0.231 0.581
O12 O 0.492 0.107 0.312
O13 O 0.508 0.893 0.688
O14 O 0.554 0.769 0.419
O15 O 0.581 0.446 0.231
O16 O 0.630 0.009 0.786
O17 O 0.688 0.508 0.893
O18 O 0.708 0.938 0.094
O19 O 0.769 0.419 0.554
O20 O 0.786 0.630 0.009
O21 O 0.893 0.688 0.508
O22 O 0.906 0.292 0.062
O23 O 0.938 0.094 0.708
O24 O 0.991 0.214 0.370
# MP2020-corrected energy, eV/atom: -8.4356
# Space group: R-3

***

No. 8
# AlSn3Se2ClO8, relaxed, DFT PBE
data_AlSn3Se2ClO8
_space_group_name_H-M_alt 'P 1'
_space_group_IT_number 1
_space_group_name_Hall 'P 1'
_cell_length_a 7.136
_cell_length_b 8.927
_cell_length_c 10.688
_cell_angle_alpha 90.07
_cell_angle_beta 98.90
_cell_angle_gamma 90.11
loop_
_atom_site_label
_atom_site_type_symbol
_atom_site_fract_x
_atom_site_fract_y
_atom_site_fract_z
Al1 Al 0.000 0.000 0.000
Al2 Al 0.450 0.500 0.502
Sn1 Sn 0.610 0.108 0.032
Sn2 Sn 0.650 0.771 0.748
Sn3 Sn 0.714 0.217 0.351
Sn4 Sn 0.738 0.718 0.153
Sn5 Sn 0.799 0.271 0.756
Sn6 Sn 0.841 0.608 0.472
Se1 Se 0.141 0.504 0.246
Se2 Se 0.202 0.448 0.723
Se3 Se 0.248 0.949 0.779
Se4 Se 0.309 0.004 0.255
Cl1 Cl 0.656 0.550 0.933
Cl2 Cl 0.787 0.049 0.571
O1 O 0.046 0.667 0.175
O2 O 0.111 0.279 0.764
O3 O 0.136 0.892 0.906
O4 O 0.156 0.083 0.128
O5 O 0.298 0.583 0.372
O6 O 0.312 0.393 0.594
O7 O 0.338 0.781 0.736
O8 O 0.406 0.167 0.326
O9 O 0.456 0.032 0.851
O10 O 0.486 0.936 0.179
O11 O 0.594 0.640 0.585
O12 O 0.646 0.411 0.445
O13 O 0.806 0.911 0.058
O14 O 0.856 0.140 0.918
O15 O 0.964 0.437 0.324
O16 O 0.993 0.532 0.653
# Offset from the most stable computed form, meV per atom: 0
# MP2020-corrected energy, eV/atom: -5.9603
# Space group: P1